Here is a geometry-optimized Sm4MgIr structure from the Materials Project. Energies are from PBE.

a = 9.923 Å, b = 9.923 Å, c = 9.923 Å
α = 60.00°, β = 60.00°, γ = 60.00°
Fractional positions:
Sm 0.186 0.186 0.814
Sm 0.186 0.814 0.186
Sm 0.186 0.814 0.814
Sm 0.404 0.404 0.404
Sm 0.404 0.404 0.788
Sm 0.404 0.788 0.404
Sm 0.562 0.562 0.938
Sm 0.562 0.938 0.562
Sm 0.562 0.938 0.938
Sm 0.788 0.404 0.404
Sm 0.814 0.186 0.186
Sm 0.814 0.186 0.814
Sm 0.814 0.814 0.186
Sm 0.938 0.562 0.562
Sm 0.938 0.562 0.938
Sm 0.938 0.938 0.562
Mg 0.171 0.171 0.171
Mg 0.171 0.171 0.486
Mg 0.171 0.486 0.171
Mg 0.486 0.171 0.171
Ir 0.174 0.609 0.609
Ir 0.609 0.174 0.609
Ir 0.609 0.609 0.174
Ir 0.609 0.609 0.609

Computed properties:
ΔE_f (kJ per mole of atoms): -37.5
Total DFT energy (no corrections) (eV/atom): -5.27

Here is a geometry-optimized MgTaIr2 structure from the Materials Project. Energies are from PBE.

a = 4.475 Å, b = 4.475 Å, c = 4.475 Å
α = 60.00°, β = 60.00°, γ = 60.00°
Fractional positions:
Mg 0.000 0.000 0.000
Ta 0.500 0.500 0.500
Ir 0.250 0.250 0.250
Ir 0.750 0.750 0.750

Computed properties:
ΔE_f (kJ per mole of atoms): -53.6
Total DFT energy (no corrections) (eV/atom): -8.34